Entry 1:
ThIr | the Materials Project | meta-GGA r2SCAN | relaxed; formation energy from the elements = -1123 meV per atom
1.0
3.683 0.000 -1.289
0.000 4.213 0.000
0.045 0.000 6.037
Th Ir
2 2
Direct
0.136 0.750 0.273 Th
0.864 0.250 0.727 Th
0.599 0.250 0.197 Ir
0.401 0.750 0.803 Ir


Entry 2:
TiIr | the Materials Project | meta-GGA r2SCAN | relaxed; formation energy from the elements = -943 meV per atom
1.0
-3.316 -0.828 0.659
-0.738 -0.278 -4.065
1.020 -4.012 0.089
Ti Ir
2 2
Direct
0.500 0.000 0.500 Ti
0.500 0.500 0.000 Ti
0.000 0.000 0.000 Ir
0.000 0.500 0.500 Ir


Entry 3:
Ti3Ir | the Materials Project | meta-GGA r2SCAN | relaxed; formation energy from the elements = -615 meV per atom
1.0
5.000 0.000 0.000
0.000 5.000 0.000
0.000 0.000 5.000
Ti Ir
6 2
Direct
0.500 0.250 0.000 Ti
0.000 0.500 0.250 Ti
0.750 0.000 0.500 Ti
0.500 0.750 0.000 Ti
0.000 0.500 0.750 Ti
0.250 0.000 0.500 Ti
0.000 0.000 0.000 Ir
0.500 0.500 0.500 Ir


Entry 4:
Ti2VIr | the Materials Project | meta-GGA r2SCAN | relaxed; formation energy from the elements = -674 meV per atom
1.0
0.001 3.107 3.109
3.110 0.001 3.109
3.110 3.107 0.001
V Ir Ti
1 1 2
Direct
0.750 0.750 0.750 V
0.250 0.250 0.250 Ir
0.000 0.000 0.000 Ti
0.500 0.500 0.500 Ti


Entry 5:
TmIr | the Materials Project | meta-GGA r2SCAN | relaxed; formation energy from the elements = -1094 meV per atom
1.0
3.357 0.000 0.000
0.000 3.357 0.000
0.000 0.000 3.357
Tm Ir
1 1
Direct
0.500 0.500 0.500 Tm
0.000 0.000 0.000 Ir


Entry 6:
TmIr2 | the Materials Project | meta-GGA r2SCAN | relaxed; formation energy from the elements = -938 meV per atom
1.0
-2.897 -4.384 -0.670
1.807 -3.925 -3.064
1.559 -4.565 2.189
Tm Ir
2 4
Direct
0.875 0.875 0.875 Tm
0.125 0.125 0.125 Tm
0.000 0.500 0.500 Ir
0.500 0.000 0.500 Ir
0.500 0.500 0.500 Ir
0.500 0.500 0.000 Ir


Entry 7:
Tm3Ir | the Materials Project | meta-GGA r2SCAN | relaxed; formation energy from the elements = -711 meV per atom
1.0
-2.497 -4.893 3.181
-1.388 4.293 5.513
-8.033 1.849 -3.462
Ir Tm
4 12
Direct
0.966 0.112 0.750 Ir
0.034 0.888 0.250 Ir
0.466 0.388 0.250 Ir
0.534 0.612 0.750 Ir
0.378 0.965 0.750 Tm
0.822 0.824 0.561 Tm
0.678 0.324 0.561 Tm
0.122 0.465 0.750 Tm
0.678 0.324 0.939 Tm
0.322 0.676 0.439 Tm
0.178 0.176 0.061 Tm
0.878 0.535 0.250 Tm
0.822 0.824 0.939 Tm
0.178 0.176 0.439 Tm
0.622 0.035 0.250 Tm
0.322 0.676 0.061 Tm


Entry 8:
UIr2 | the Materials Project | meta-GGA r2SCAN | relaxed; formation energy from the elements = -713 meV per atom
1.0
0.000 3.769 3.769
3.769 0.000 3.769
3.769 3.769 0.000
Ir U
4 2
Direct
0.625 0.125 0.125 Ir
0.125 0.125 0.125 Ir
0.125 0.625 0.125 Ir
0.125 0.125 0.625 Ir
0.500 0.500 0.500 U
0.750 0.750 0.750 U